(a)
This record from Materials Project describes an optimized crystal structure of LiCo2P2O8. The functional is GGA+U.

Cell: 7.7863 5.4854 8.5387 Å, 90.00 103.72 90.00°
Last column: nearest neighbours and their distance in Å.
Space group Pc (No. 7)
Symmetry-distinct sites (fractional):
Li  0.0000  0.1616  0.0000 (multiplicity 2)  4 O 1.98-2.06
Co  0.1271  0.3443  0.3801 (multiplicity 2)  4 O 1.93-2.00
Co  0.5944  0.1515  0.6702 (multiplicity 2)  4 O 1.83-2.00
P  0.3648  0.1605  0.9170 (multiplicity 2)  4 O 1.52-1.58
P  0.8800  0.3402  0.6223 (multiplicity 2)  4 O 1.55-1.58
O  0.0013  0.1958  0.5357 (multiplicity 2)  1 P 1.55
O  0.2197  0.3275  0.9531 (multiplicity 2)  1 P 1.54
O  0.2958  0.0938  0.3638 (multiplicity 2)  1 P 1.52
O  0.4434  0.2810  0.7828 (multiplicity 2)  1 P 1.57
O  0.5203  0.1397  0.0730 (multiplicity 2)  1 P 1.58
O  0.6845  0.3488  0.5200 (multiplicity 2)  1 P 1.57
O  0.8513  0.1935  0.7738 (multiplicity 2)  1 P 1.58
O  0.9580  0.4027  0.1666 (multiplicity 2)  1 P 1.55


(b)
This record from Materials Project describes an optimized crystal structure of LiCo2P2O8. The functional is GGA+U.

Cell: 8.4334 5.2807 16.4952 Å, 90.00 104.29 90.00°
Last column: nearest neighbours and their distance in Å.
Space group Pc (No. 7)
Symmetry-distinct sites (fractional):
Li  0.0000  0.1476  0.0000 (multiplicity 2)  4 O 1.97-2.07
Li  0.4342  0.3393  0.7340 (multiplicity 2)  4 O 1.98-2.17
Co  0.0938  0.1839  0.7968 (multiplicity 2)  4 O 1.84-1.91
Co  0.1921  0.3358  0.5508 (multiplicity 2)  4 O 1.89-2.01
Co  0.6024  0.1745  0.3043 (multiplicity 2)  4 O 1.93-2.02
Co  0.6718  0.3146  0.0466 (multiplicity 2)  4 O 1.84-1.91
P  0.2885  0.3225  0.3630 (multiplicity 2)  4 O 1.52-1.59
P  0.3681  0.1692  0.1165 (multiplicity 2)  4 O 1.54-1.57
P  0.7857  0.3304  0.8639 (multiplicity 2)  4 O 1.52-1.57
P  0.8677  0.1834  0.6100 (multiplicity 2)  4 O 1.55
O  0.1729  0.1409  0.2987 (multiplicity 2)  1 P 1.58
O  0.1998  0.2953  0.0778 (multiplicity 2)  1 P 1.56
O  0.2264  0.3353  0.4417 (multiplicity 2)  1 P 1.52
O  0.2753  0.4111  0.8169 (multiplicity 2)  1 P 1.59
O  0.3427  0.1155  0.6350 (multiplicity 2)  1 P 1.56
O  0.4605  0.3097  0.1963 (multiplicity 2)  1 P 1.54
O  0.4656  0.2323  0.3803 (multiplicity 2)  1 P 1.53
O  0.4690  0.1920  0.0484 (multiplicity 2)  1 P 1.57
O  0.6476  0.1909  0.8000 (multiplicity 2)  1 P 1.55
O  0.7120  0.3483  0.5787 (multiplicity 2)  1 P 1.55
O  0.7657  0.2885  0.9553 (multiplicity 2)  1 P 1.57
O  0.7909  0.3912  0.3404 (multiplicity 2)  1 P 1.52
O  0.8159  0.0939  0.1219 (multiplicity 2)  1 P 1.55
O  0.9580  0.2054  0.8734 (multiplicity 2)  1 P 1.57
O  0.9657  0.2925  0.6946 (multiplicity 2)  1 P 1.55
O  0.9746  0.1894  0.5458 (multiplicity 2)  1 P 1.55


(c)
This record from Materials Project describes an optimized crystal structure of LiCo2P2O8. The functional is GGA+U.

Cell: 10.2091 5.0929 13.7358 Å, 90.00 90.00 90.00°
Last column: nearest neighbours and their distance in Å.
Space group Pca2_1 (No. 29)
Symmetry-distinct sites (fractional):
Li  0.2208  0.0495  0.0000 (multiplicity 4)  4 O 2.02-2.06
Co  0.0351  0.5590  0.0030 (multiplicity 4)  4 O 1.83-1.92
Co  0.2216  0.0539  0.2510 (multiplicity 4)  4 O 1.95-2.02
P  0.0290  0.9385  0.6267 (multiplicity 4)  4 O 1.52-1.59
P  0.2169  0.5508  0.3783 (multiplicity 4)  4 O 1.53-1.58
O  0.0017  0.6383  0.6114 (multiplicity 4)  1 P 1.57
O  0.0355  0.9226  0.0350 (multiplicity 4)  1 P 1.59
O  0.0371  0.9751  0.2209 (multiplicity 4)  1 P 1.52
O  0.0686  0.4911  0.3957 (multiplicity 4)  1 P 1.56
O  0.1777  0.9920  0.6263 (multiplicity 4)  1 P 1.54
O  0.2082  0.4388  0.9703 (multiplicity 4)  1 P 1.58
O  0.2404  0.4186  0.7839 (multiplicity 4)  1 P 1.53
O  0.2433  0.8509  0.3757 (multiplicity 4)  1 P 1.55


Which one is most stable, and which one is least stable? (c) is the most stable of them, while (a) is the least stable.


(a)
This record from Materials Project describes an optimized crystal structure of LiCo2P2O8. The functional is GGA+U.

Cell: 5.1163 6.6321 10.2463 Å, 90.00 92.01 90.00°
Last column: nearest neighbours and their distance in Å.
Space group Pc (No. 7)
Symmetry-distinct sites (fractional):
Li  0.0000  0.2454  0.0000 (multiplicity 2)  4 O 2.02-2.09
Co  0.0116  0.2554  0.5325 (multiplicity 2)  4 O 1.90-1.95
Co  0.5119  0.2335  0.1921 (multiplicity 2)  4 O 1.87-1.95
P  0.0178  0.4812  0.2648 (multiplicity 2)  4 O 1.53-1.57
P  0.5016  0.0204  0.4549 (multiplicity 2)  4 O 1.53-1.57
O  0.3142  0.4529  0.2465 (multiplicity 2)  1 P 1.55
O  0.3763  0.2047  0.5170 (multiplicity 2)  1 P 1.53
O  0.3854  0.1764  0.0141 (multiplicity 2)  1 P 1.57
O  0.4494  0.0174  0.3055 (multiplicity 2)  1 P 1.54
O  0.8014  0.0199  0.4871 (multiplicity 2)  1 P 1.56
O  0.8752  0.3051  0.1886 (multiplicity 2)  1 P 1.57
O  0.9317  0.3149  0.7084 (multiplicity 2)  1 P 1.53
O  0.9530  0.4798  0.4117 (multiplicity 2)  1 P 1.55


(b)
This record from Materials Project describes an optimized crystal structure of LiCo2P2O8. The functional is GGA+U.

Cell: 10.3287 5.1360 13.6032 Å, 90.00 90.00 90.00°
Last column: nearest neighbours and their distance in Å.
Space group Pca2_1 (No. 29)
Symmetry-distinct sites (fractional):
Li  0.0335  0.0561  0.0000 (multiplicity 4)  4 O 2.01-2.10
Co  0.0321  0.9305  0.7494 (multiplicity 4)  4 O 1.96-2.03
Co  0.2179  0.5550  0.9984 (multiplicity 4)  4 O 1.83-1.91
P  0.0296  0.4361  0.6220 (multiplicity 4)  4 O 1.52-1.58
P  0.2182  0.0541  0.3750 (multiplicity 4)  4 O 1.52-1.59
O  0.0059  0.1386  0.6250 (multiplicity 4)  1 P 1.55
O  0.0125  0.4304  0.2168 (multiplicity 4)  1 P 1.52
O  0.0450  0.4513  0.0295 (multiplicity 4)  1 P 1.58
O  0.0706  0.0053  0.3745 (multiplicity 4)  1 P 1.55
O  0.1758  0.4967  0.6038 (multiplicity 4)  1 P 1.56
O  0.2166  0.9669  0.7804 (multiplicity 4)  1 P 1.52
O  0.2194  0.9145  0.9677 (multiplicity 4)  1 P 1.59
O  0.2466  0.3507  0.3912 (multiplicity 4)  1 P 1.57


Which one is most stable, and which one is least stable? (a) is the most stable of them, while (b) is the least stable.


(a)
This record from Materials Project describes an optimized crystal structure of LiCo2P2O8. The functional is GGA+U.

Cell: 8.5676 5.1189 10.1165 Å, 90.00 125.46 90.00°
Last column: nearest neighbours and their distance in Å.
Space group Pc (No. 7)
Symmetry-distinct sites (fractional):
Li  0.0000  0.0637  0.0000 (multiplicity 2)  4 O 2.03-2.08
Co  0.4983  0.0521  0.2490 (multiplicity 2)  4 O 1.96-2.03
Co  0.9992  0.4558  0.7473 (multiplicity 2)  4 O 1.83-1.91
P  0.2480  0.4502  0.6215 (multiplicity 2)  4 O 1.52-1.59
P  0.7503  0.0397  0.1226 (multiplicity 2)  4 O 1.52-1.59
O  0.0666  0.4329  0.1061 (multiplicity 2)  1 P 1.59
O  0.2149  0.4862  0.9551 (multiplicity 2)  1 P 1.57
O  0.2498  0.1514  0.6477 (multiplicity 2)  1 P 1.55
O  0.4320  0.4157  0.2561 (multiplicity 2)  1 P 1.52
O  0.5643  0.0396  0.5983 (multiplicity 2)  1 P 1.52
O  0.7481  0.0098  0.4703 (multiplicity 2)  1 P 1.55
O  0.7887  0.3361  0.1699 (multiplicity 2)  1 P 1.57
O  0.9289  0.1125  0.7691 (multiplicity 2)  1 P 1.59


(b)
This record from Materials Project describes an optimized crystal structure of LiCo2P2O8. The functional is GGA+U.

Cell: 5.1272 6.6913 10.5084 Å, 90.00 90.37 90.00°
Last column: nearest neighbours and their distance in Å.
Space group Pc (No. 7)
Symmetry-distinct sites (fractional):
Li  0.0000  0.2313  0.0000 (multiplicity 2)  2 O 1.94-2.05
Co  0.5017  0.0453  0.4306 (multiplicity 2)  4 O 1.84-1.92
Co  0.9977  0.4671  0.2497 (multiplicity 2)  4 O 1.94-1.98
P  0.0027  0.2709  0.5145 (multiplicity 2)  4 O 1.53-1.58
P  0.5016  0.2302  0.1670 (multiplicity 2)  4 O 1.52-1.58
O  0.3035  0.2394  0.5068 (multiplicity 2)  1 P 1.56
O  0.3674  0.4150  0.2195 (multiplicity 2)  1 P 1.52
O  0.3901  0.1806  0.0297 (multiplicity 2)  1 P 1.58
O  0.4492  0.0453  0.2552 (multiplicity 2)  1 P 1.57
O  0.7994  0.2602  0.1549 (multiplicity 2)  1 P 1.55
O  0.8699  0.0778  0.4555 (multiplicity 2)  1 P 1.58
O  0.9165  0.2942  0.6526 (multiplicity 2)  1 P 1.53
O  0.9390  0.4613  0.4345 (multiplicity 2)  1 P 1.56


(c)
This record from Materials Project describes an optimized crystal structure of LiCo2P2O8. The functional is GGA+U.

Cell: 8.4801 5.1552 16.7351 Å, 90.00 101.29 90.00°
Last column: nearest neighbours and their distance in Å.
Space group Pc (No. 7)
Symmetry-distinct sites (fractional):
Li  0.0000  0.1692  0.0000 (multiplicity 2)  4 O 1.98-2.05
Li  0.3955  0.3271  0.7407 (multiplicity 2)  4 O 1.98-2.10
Co  0.2688  0.3090  0.3757 (multiplicity 2)  4 O 1.83-1.94
Co  0.3707  0.1741  0.1168 (multiplicity 2)  4 O 1.93-2.03
Co  0.7571  0.3262  0.8638 (multiplicity 2)  4 O 1.95-2.02
Co  0.8616  0.1872  0.6267 (multiplicity 2)  4 O 1.81-1.93
P  0.0790  0.1909  0.8111 (multiplicity 2)  4 O 1.54-1.57
P  0.1800  0.3179  0.5599 (multiplicity 2)  4 O 1.54-1.57
P  0.5689  0.1859  0.3042 (multiplicity 2)  4 O 1.53-1.58
P  0.6894  0.3080  0.0561 (multiplicity 2)  4 O 1.52-1.57
O  0.0101  0.1896  0.5529 (multiplicity 2)  1 P 1.57
O  0.1243  0.0986  0.3054 (multiplicity 2)  1 P 1.55
O  0.1712  0.3862  0.0722 (multiplicity 2)  1 P 1.54
O  0.2337  0.2470  0.4792 (multiplicity 2)  1 P 1.55
O  0.2369  0.3569  0.8218 (multiplicity 2)  1 P 1.57
O  0.2996  0.1911  0.6313 (multiplicity 2)  1 P 1.55
O  0.4566  0.3013  0.2277 (multiplicity 2)  1 P 1.56
O  0.4816  0.2467  0.3774 (multiplicity 2)  1 P 1.58
O  0.5139  0.2224  0.0412 (multiplicity 2)  1 P 1.52
O  0.5867  0.1117  0.7946 (multiplicity 2)  1 P 1.55
O  0.6971  0.3987  0.5820 (multiplicity 2)  1 P 1.57
O  0.7331  0.3189  0.3234 (multiplicity 2)  1 P 1.53
O  0.7674  0.2766  0.9810 (multiplicity 2)  1 P 1.54
O  0.7981  0.1579  0.1275 (multiplicity 2)  1 P 1.56
O  0.9630  0.2702  0.7318 (multiplicity 2)  1 P 1.54
O  0.9939  0.2389  0.8833 (multiplicity 2)  1 P 1.54


Which one is most stable, and which one is least stable? (c) is the most stable of them, while (b) is the least stable.